# 1
{
  "formula": "ZnH10C2Se4N2",
  "functional": "PBE",
  "state": "relaxed",
  "lattice_angstrom": [[12.4381, 0.0000, 0.0000], [0.0000, 15.5876, 0.0000], [0.0000, 0.0000, 12.0804]],
  "species": ["Zn", "Zn", "Zn", "Zn", "Zn", "Zn", "Zn", "Zn", "H", "H", "H", "H", "H", "H", "H", "H", "H", "H", "H", "H", "H", "H", "H", "H", "H", "H", "H", "H", "H", "H", "H", "H", "H", "H", "H", "H", "H", "H", "H", "H", "H", "H", "H", "H", "H", "H", "H", "H", "H", "H", "H", "H", "H", "H", "H", "H", "H", "H", "H", "H", "H", "H", "H", "H", "H", "H", "H", "H", "H", "H", "H", "H", "H", "H", "H", "H", "H", "H", "H", "H", "H", "H", "H", "H", "H", "H", "H", "H", "C", "C", "C", "C", "C", "C", "C", "C", "C", "C", "C", "C", "C", "C", "C", "C", "Se", "Se", "Se", "Se", "Se", "Se", "Se", "Se", "Se", "Se", "Se", "Se", "Se", "Se", "Se", "Se", "Se", "Se", "Se", "Se", "Se", "Se", "Se", "Se", "Se", "Se", "Se", "Se", "Se", "Se", "Se", "Se", "N", "N", "N", "N", "N", "N", "N", "N", "N", "N", "N", "N", "N", "N", "N", "N"],
  "frac_coords": [[0.0504, 0.2393, 0.0000], [0.1861, 0.2446, 0.4980], [0.3139, 0.7446, 0.9980], [0.4496, 0.7393, 0.5000], [0.5504, 0.2607, 0.0000], [0.6861, 0.2554, 0.4980], [0.8139, 0.7554, 0.9980], [0.9496, 0.7607, 0.5000], [0.0041, 0.2825, 0.5868], [0.0163, 0.5789, 0.4309], [0.0158, 0.7107, 0.9544], [0.0392, 0.5700, 0.0394], [0.0480, 0.6329, 0.3060], [0.0514, 0.4497, 0.8059], [0.0734, 0.4281, 0.4463], [0.0758, 0.1194, 0.4148], [0.0950, 0.4211, 0.5908], [0.1161, 0.1803, 0.3124], [0.1220, 0.2967, 0.8107], [0.1378, 0.0578, 0.0764], [0.1676, 0.3574, 0.9108], [0.1751, 0.0584, 0.9353], [0.1962, 0.0327, 0.3062], [0.2071, 0.6180, 0.8131], [0.2231, 0.5542, 0.5397], [0.2305, 0.1985, 0.0919], [0.2418, 0.5598, 0.9347], [0.2471, 0.6982, 0.4594], [0.2529, 0.1982, 0.9594], [0.2582, 0.0598, 0.4347], [0.2695, 0.6985, 0.5919], [0.2769, 0.0542, 0.0397], [0.2929, 0.1180, 0.3131], [0.3038, 0.5327, 0.8062], [0.3249, 0.5584, 0.4353], [0.3324, 0.8574, 0.4108], [0.3622, 0.5578, 0.5764], [0.3780, 0.7967, 0.3107], [0.3839, 0.6803, 0.8124], [0.4050, 0.9211, 0.0908], [0.4242, 0.6194, 0.9148], [0.4266, 0.9281, 0.9463], [0.4486, 0.9497, 0.3059], [0.4520, 0.1329, 0.8060], [0.4608, 0.0700, 0.5394], [0.4837, 0.0789, 0.9309], [0.4842, 0.2107, 0.4544], [0.4959, 0.7825, 0.0868], [0.5041, 0.2175, 0.5868], [0.5158, 0.7893, 0.9544], [0.5163, 0.9211, 0.4309], [0.5392, 0.9300, 0.0394], [0.5480, 0.8671, 0.3060], [0.5514, 0.0503, 0.8059], [0.5734, 0.0719, 0.4463], [0.5758, 0.3806, 0.4148], [0.5950, 0.0789, 0.5908], [0.6161, 0.3197, 0.3124], [0.6220, 0.2033, 0.8107], [0.6378, 0.4422, 0.0764], [0.6676, 0.1426, 0.9108], [0.6751, 0.4416, 0.9353], [0.6962, 0.4673, 0.3062], [0.7071, 0.8820, 0.8131], [0.7231, 0.9458, 0.5397], [0.7305, 0.3015, 0.0919], [0.7418, 0.9402, 0.9347], [0.7471, 0.8018, 0.4594], [0.7529, 0.3018, 0.9594], [0.7582, 0.4402, 0.4347], [0.7695, 0.8015, 0.5919], [0.7769, 0.4458, 0.0397], [0.7929, 0.3820, 0.3131], [0.8038, 0.9673, 0.8062], [0.8249, 0.9416, 0.4353], [0.8324, 0.6426, 0.4108], [0.8622, 0.9422, 0.5764], [0.8780, 0.7033, 0.3107], [0.8839, 0.8197, 0.8124], [0.9050, 0.5789, 0.0908], [0.9242, 0.8806, 0.9148], [0.9266, 0.5719, 0.9463], [0.9486, 0.5503, 0.3059], [0.9520, 0.3671, 0.8060], [0.9608, 0.4300, 0.5394], [0.9842, 0.2893, 0.4544], [0.9837, 0.4211, 0.9309], [0.9959, 0.7175, 0.0868], [0.0177, 0.3960, 0.8538], [0.0406, 0.4023, 0.5236], [0.1983, 0.0812, 0.0177], [0.2268, 0.0861, 0.3570], [0.2732, 0.5861, 0.8570], [0.3017, 0.5812, 0.5177], [0.4594, 0.9023, 0.0236], [0.4823, 0.8960, 0.3538], [0.5177, 0.1040, 0.8538], [0.5406, 0.0977, 0.5236], [0.6983, 0.4188, 0.0177], [0.7268, 0.4139, 0.3570], [0.7732, 0.9139, 0.8570], [0.8017, 0.9188, 0.5177], [0.9594, 0.5977, 0.0236], [0.9823, 0.6040, 0.3538], [0.0098, 0.3128, 0.1750], [0.0746, 0.0818, 0.6794], [0.0768, 0.8405, 0.2404], [0.0926, 0.8543, 0.4366], [0.1602, 0.4086, 0.1780], [0.1739, 0.8399, 0.9332], [0.1899, 0.8279, 0.7373], [0.2237, 0.1785, 0.6783], [0.2763, 0.6785, 0.1783], [0.3101, 0.3279, 0.2373], [0.3261, 0.3399, 0.4332], [0.3398, 0.9086, 0.6780], [0.4074, 0.3543, 0.9366], [0.4232, 0.3405, 0.7404], [0.4254, 0.5818, 0.1794], [0.4902, 0.8128, 0.6750], [0.5098, 0.1872, 0.1750], [0.5746, 0.4182, 0.6794], [0.5768, 0.6595, 0.2404], [0.5926, 0.6457, 0.4366], [0.6602, 0.0914, 0.1780], [0.6739, 0.6601, 0.9332], [0.6899, 0.6721, 0.7373], [0.7237, 0.3215, 0.6783], [0.7763, 0.8215, 0.1783], [0.8101, 0.1721, 0.2373], [0.8261, 0.1601, 0.4332], [0.8398, 0.5914, 0.6780], [0.9074, 0.1457, 0.9366], [0.9232, 0.1595, 0.7404], [0.9254, 0.9182, 0.1794], [0.9902, 0.6872, 0.6750], [0.0366, 0.3076, 0.5158], [0.0988, 0.3296, 0.8807], [0.1419, 0.1498, 0.3831], [0.2001, 0.1764, 0.0183], [0.2999, 0.6764, 0.5183], [0.3581, 0.6498, 0.8831], [0.4012, 0.8296, 0.3807], [0.4634, 0.8076, 0.0158], [0.5366, 0.1924, 0.5158], [0.5988, 0.1704, 0.8807], [0.6419, 0.3502, 0.3831], [0.7001, 0.3236, 0.0183], [0.7999, 0.8236, 0.5183], [0.8581, 0.8502, 0.8831], [0.9012, 0.6704, 0.3807], [0.9634, 0.6924, 0.0158]],
  "spacegroup": "Pna2_1",
  "magmom_total_mub_per_fu": 0.06
}

# 2
{
  "formula": "Zr3AgHg3F20",
  "functional": "PBE",
  "state": "relaxed",
  "lattice_angstrom": [[10.8765, 0.0000, 0.0000], [-5.4383, 9.4194, 0.0000], [0.0000, 0.0000, 8.6806]],
  "species": ["Zr", "Zr", "Zr", "Zr", "Zr", "Zr", "Ag", "Ag", "Hg", "Hg", "Hg", "Hg", "Hg", "Hg", "F", "F", "F", "F", "F", "F", "F", "F", "F", "F", "F", "F", "F", "F", "F", "F", "F", "F", "F", "F", "F", "F", "F", "F", "F", "F", "F", "F", "F", "F", "F", "F", "F", "F", "F", "F", "F", "F", "F", "F"],
  "frac_coords": [[0.1394, 0.4173, 0.2500], [0.2780, 0.8606, 0.2500], [0.4173, 0.2780, 0.7500], [0.5827, 0.7220, 0.2500], [0.7220, 0.1394, 0.7500], [0.8606, 0.5827, 0.7500], [0.0000, 0.0000, 0.2500], [0.0000, 0.0000, 0.7500], [0.1606, 0.4313, 0.7500], [0.2707, 0.8394, 0.7500], [0.4313, 0.2707, 0.2500], [0.5687, 0.7293, 0.7500], [0.7293, 0.1606, 0.2500], [0.8394, 0.5687, 0.2500], [0.0000, 0.0000, 0.0000], [0.0000, 0.0000, 0.5000], [0.0314, 0.7989, 0.7500], [0.0556, 0.5867, 0.7500], [0.0584, 0.7774, 0.2500], [0.1452, 0.4252, 0.0171], [0.1452, 0.4252, 0.4829], [0.1846, 0.6340, 0.2500], [0.2011, 0.2325, 0.7500], [0.2226, 0.2810, 0.2500], [0.2325, 0.0314, 0.2500], [0.2799, 0.8548, 0.0171], [0.2799, 0.8548, 0.4829], [0.2810, 0.0584, 0.7500], [0.3333, 0.6667, 0.7500], [0.3660, 0.5506, 0.2500], [0.4133, 0.4689, 0.7500], [0.4252, 0.2799, 0.5171], [0.4252, 0.2799, 0.9829], [0.4494, 0.8154, 0.2500], [0.4689, 0.0556, 0.2500], [0.5311, 0.9444, 0.7500], [0.5506, 0.1846, 0.7500], [0.5748, 0.7201, 0.0171], [0.5748, 0.7201, 0.4829], [0.5867, 0.5311, 0.2500], [0.6340, 0.4494, 0.7500], [0.6667, 0.3333, 0.2500], [0.7190, 0.9416, 0.2500], [0.7201, 0.1452, 0.5171], [0.7201, 0.1452, 0.9829], [0.7675, 0.9686, 0.7500], [0.7774, 0.7190, 0.7500], [0.7989, 0.7675, 0.2500], [0.8154, 0.3660, 0.7500], [0.8548, 0.5748, 0.5171], [0.8548, 0.5748, 0.9829], [0.9416, 0.2226, 0.7500], [0.9444, 0.4133, 0.2500], [0.9686, 0.2011, 0.2500]],
  "spacegroup": "P6_3/m"
}

# 3
{
  "formula": "KMg6Co",
  "functional": "PBE",
  "state": "relaxed",
  "lattice_angstrom": [[4.5586, 0.0000, 0.0000], [0.0000, 6.1147, 0.0000], [0.0000, 0.0000, 14.4832]],
  "species": ["K", "K", "Co", "Co", "Mg", "Mg", "Mg", "Mg", "Mg", "Mg", "Mg", "Mg", "Mg", "Mg", "Mg", "Mg"],
  "frac_coords": [[0.5000, 0.5000, 0.2138], [0.5000, 0.0000, 0.7138], [0.0000, 0.5000, 0.3983], [0.0000, 0.0000, 0.8983], [0.5000, 0.5000, 0.6447], [0.0000, 0.2514, 0.5439], [0.5000, 0.2625, 0.4176], [0.5000, 0.2375, 0.9176], [0.0000, 0.2486, 0.0439], [0.0000, 0.7486, 0.5439], [0.0000, 0.7514, 0.0439], [0.0000, 0.0000, 0.3203], [0.5000, 0.0000, 0.1447], [0.5000, 0.7375, 0.4176], [0.0000, 0.5000, 0.8203], [0.5000, 0.7625, 0.9176]]
}

# 4
{
  "formula": "KSr2Nb5O15",
  "functional": "PBE",
  "state": "relaxed",
  "lattice_angstrom": [[8.9528, -8.9783, 0.0000], [8.9528, 8.9783, 0.0000], [0.0000, 0.0000, 4.0580]],
  "species": ["K", "K", "Sr", "Sr", "Sr", "Sr", "Nb", "Nb", "Nb", "Nb", "Nb", "Nb", "Nb", "Nb", "Nb", "Nb", "O", "O", "O", "O", "O", "O", "O", "O", "O", "O", "O", "O", "O", "O", "O", "O", "O", "O", "O", "O", "O", "O", "O", "O", "O", "O", "O", "O", "O", "O"],
  "frac_coords": [[0.1717, 0.8283, 0.0000], [0.8283, 0.1717, 0.0000], [0.0000, 0.5000, 0.0018], [0.3266, 0.3266, 0.0174], [0.5000, 0.0000, 0.0018], [0.6734, 0.6734, 0.0174], [0.0000, 0.0000, 0.5354], [0.0765, 0.2878, 0.5148], [0.2111, 0.5762, 0.5161], [0.2878, 0.0765, 0.5148], [0.4238, 0.7889, 0.5161], [0.5000, 0.5000, 0.5249], [0.5762, 0.2111, 0.5161], [0.7122, 0.9235, 0.5148], [0.7889, 0.4238, 0.5161], [0.9235, 0.7122, 0.5148], [0.0000, 0.0000, 0.9865], [0.0008, 0.1571, 0.4776], [0.0629, 0.6366, 0.4774], [0.0864, 0.3002, 0.9798], [0.1375, 0.4363, 0.4730], [0.1571, 0.0008, 0.4776], [0.2005, 0.5760, 0.9789], [0.2280, 0.2280, 0.4825], [0.2871, 0.7129, 0.4791], [0.3002, 0.0864, 0.9798], [0.3425, 0.4908, 0.4693], [0.3634, 0.9371, 0.4774], [0.4240, 0.7995, 0.9789], [0.4363, 0.1375, 0.4730], [0.4908, 0.3425, 0.4693], [0.5000, 0.5000, 0.9812], [0.5092, 0.6575, 0.4693], [0.5637, 0.8625, 0.4730], [0.5760, 0.2005, 0.9789], [0.6366, 0.0629, 0.4774], [0.6575, 0.5092, 0.4693], [0.6998, 0.9136, 0.9798], [0.7129, 0.2871, 0.4791], [0.7720, 0.7720, 0.4825], [0.7995, 0.4240, 0.9789], [0.8429, 0.9992, 0.4776], [0.8625, 0.5637, 0.4730], [0.9136, 0.6998, 0.9798], [0.9371, 0.3634, 0.4774], [0.9992, 0.8429, 0.4776]],
  "spacegroup": "Cmm2",
  "magmom_total_mub_per_fu": 0.00
}

# 5
{
  "formula": "Na3Ti3GaP6O24",
  "functional": "PBE",
  "state": "relaxed",
  "lattice_angstrom": [[8.5914, 0.0000, 0.0000], [-4.2942, 7.4732, 0.0000], [-0.0055, -0.0105, 22.1613]],
  "species": ["Na", "Na", "Na", "Na", "Na", "Na", "Na", "Na", "Na", "Ti", "Ti", "Ti", "Ti", "Ti", "Ti", "Ti", "Ti", "Ti", "Ga", "Ga", "Ga", "P", "P", "P", "P", "P", "P", "P", "P", "P", "P", "P", "P", "P", "P", "P", "P", "P", "P", "O", "O", "O", "O", "O", "O", "O", "O", "O", "O", "O", "O", "O", "O", "O", "O", "O", "O", "O", "O", "O", "O", "O", "O", "O", "O", "O", "O", "O", "O", "O", "O", "O", "O", "O", "O", "O", "O", "O", "O", "O", "O", "O", "O", "O", "O", "O", "O", "O", "O", "O", "O", "O", "O", "O", "O", "O", "O", "O", "O", "O", "O", "O", "O", "O", "O", "O", "O", "O", "O", "O", "O"],
  "frac_coords": [[0.0000, 0.0000, 0.0000], [0.9998, 0.0077, 0.4970], [0.3016, 0.3351, 0.9155], [0.3325, 0.6664, 0.3302], [0.3333, 0.6745, 0.8313], [0.6584, 0.3250, 0.6654], [0.6650, 0.3249, 0.1660], [0.6978, 0.6688, 0.0823], [0.9679, 0.6679, 0.5817], [0.3309, 0.6673, 0.1856], [0.3324, 0.6647, 0.4768], [0.3344, 0.6662, 0.6859], [0.6600, 0.3260, 0.5163], [0.6655, 0.3316, 0.8101], [0.6671, 0.3274, 0.0192], [0.6668, 0.3336, 0.3091], [0.9928, 0.9926, 0.8495], [0.9994, 0.9992, 0.3499], [0.0006, 0.0066, 0.6459], [0.0053, 0.0065, 0.1463], [0.3323, 0.6722, 0.9800], [0.0457, 0.3734, 0.5812], [0.0470, 0.6701, 0.0805], [0.2870, 0.0004, 0.2469], [0.2865, 0.2866, 0.7472], [0.3255, 0.3733, 0.0798], [0.3338, 0.9562, 0.5816], [0.3770, 0.3325, 0.4134], [0.3785, 0.0393, 0.9142], [0.6217, 0.6686, 0.5812], [0.6216, 0.9544, 0.0810], [0.6659, 0.0442, 0.4135], [0.6672, 0.6236, 0.9151], [0.7115, 0.0004, 0.7463], [0.7120, 0.7121, 0.2462], [0.9535, 0.6215, 0.4144], [0.9556, 0.3354, 0.9141], [0.9981, 0.7108, 0.7458], [0.9994, 0.2865, 0.2467], [0.0156, 0.8301, 0.0874], [0.0269, 0.1892, 0.5863], [0.0285, 0.8308, 0.8021], [0.0299, 0.1997, 0.3036], [0.1305, 0.4982, 0.6366], [0.1324, 0.6362, 0.1368], [0.1410, 0.6402, 0.4216], [0.1444, 0.4988, 0.9196], [0.1577, 0.7012, 0.0236], [0.1619, 0.4663, 0.5248], [0.1624, 0.9696, 0.5869], [0.1630, 0.1874, 0.0869], [0.1675, 0.4745, 0.2410], [0.1676, 0.6925, 0.7412], [0.1696, 0.9698, 0.3037], [0.1733, 0.2045, 0.8053], [0.1909, 0.1650, 0.4079], [0.1937, 0.0300, 0.9073], [0.2086, 0.1718, 0.6912], [0.2102, 0.0364, 0.1905], [0.2995, 0.4536, 0.0211], [0.2999, 0.8351, 0.5256], [0.3061, 0.4747, 0.7408], [0.3067, 0.8319, 0.2415], [0.3593, 0.5007, 0.4215], [0.3601, 0.8557, 0.9198], [0.3638, 0.8678, 0.6376], [0.3668, 0.4999, 0.1349], [0.4641, 0.1648, 0.9697], [0.4661, 0.3038, 0.4703], [0.4755, 0.1660, 0.2560], [0.4761, 0.3101, 0.7558], [0.4949, 0.1326, 0.8581], [0.4953, 0.3637, 0.3581], [0.4958, 0.6373, 0.9199], [0.4979, 0.8589, 0.4219], [0.5024, 0.1421, 0.5744], [0.5023, 0.3626, 0.0741], [0.5021, 0.8679, 0.1371], [0.5029, 0.6370, 0.6372], [0.5233, 0.6919, 0.2411], [0.5241, 0.8317, 0.7414], [0.5315, 0.6952, 0.5250], [0.5440, 0.8365, 0.0247], [0.6340, 0.5014, 0.8597], [0.6350, 0.1319, 0.3583], [0.6379, 0.1411, 0.0740], [0.6433, 0.5005, 0.5745], [0.6895, 0.1660, 0.7556], [0.6904, 0.5242, 0.2556], [0.6953, 0.1624, 0.4704], [0.6976, 0.5398, 0.9725], [0.7991, 0.9697, 0.8032], [0.8009, 0.8308, 0.3025], [0.8082, 0.9728, 0.0879], [0.8109, 0.8322, 0.5864], [0.8215, 0.7866, 0.1884], [0.8253, 0.0362, 0.6902], [0.8322, 0.5241, 0.7557], [0.8331, 0.3095, 0.2560], [0.8343, 0.0262, 0.4078], [0.8362, 0.3036, 0.9703], [0.8360, 0.8093, 0.9073], [0.8406, 0.5374, 0.4724], [0.8556, 0.4998, 0.0745], [0.8604, 0.3634, 0.5742], [0.8651, 0.3617, 0.8582], [0.8655, 0.5026, 0.3591], [0.9614, 0.1729, 0.1905], [0.9638, 0.7868, 0.6882], [0.9726, 0.8080, 0.4077], [0.9766, 0.1671, 0.9077]],
  "spacegroup": "P1",
  "magmom_total_mub_per_fu": 0.00
}

# 6
{
  "formula": "Sm2ThS5",
  "functional": "PBE",
  "state": "relaxed",
  "lattice_angstrom": [[12.0026, 0.0000, 0.0000], [0.0000, 8.1658, 0.0000], [0.0000, 0.0000, 7.5271]],
  "species": ["Sm", "Sm", "Sm", "Sm", "Sm", "Sm", "Sm", "Sm", "Th", "Th", "Th", "Th", "S", "S", "S", "S", "S", "S", "S", "S", "S", "S", "S", "S", "S", "S", "S", "S", "S", "S", "S", "S"],
  "frac_coords": [[0.1787, 0.0007, 0.0184], [0.1787, 0.4993, 0.0184], [0.3213, 0.5007, 0.5184], [0.3213, 0.9993, 0.5184], [0.6787, 0.0007, 0.4816], [0.6787, 0.4993, 0.4816], [0.8213, 0.5007, 0.9816], [0.8213, 0.9993, 0.9816], [0.0095, 0.7500, 0.5761], [0.4905, 0.2500, 0.0761], [0.5095, 0.7500, 0.9239], [0.9905, 0.2500, 0.4239], [0.9998, 0.2500, 0.0395], [0.0002, 0.7500, 0.9605], [0.1022, 0.0436, 0.6638], [0.1022, 0.4564, 0.6638], [0.1877, 0.7500, 0.3272], [0.2180, 0.2500, 0.2994], [0.2820, 0.7500, 0.7994], [0.3123, 0.2500, 0.8272], [0.3978, 0.5436, 0.1638], [0.3978, 0.9564, 0.1638], [0.4998, 0.2500, 0.4605], [0.5002, 0.7500, 0.5395], [0.6022, 0.0436, 0.8362], [0.6022, 0.4564, 0.8362], [0.6877, 0.7500, 0.1728], [0.7180, 0.2500, 0.2006], [0.7820, 0.7500, 0.7006], [0.8123, 0.2500, 0.6728], [0.8978, 0.5436, 0.3362], [0.8978, 0.9564, 0.3362]],
  "spacegroup": "Pnma"
}

Looking at E_form for the records above, in order, we have -0.27; -2.96; 0.31; -3.13; -2.89; -2.35 eV/atom.
Looking at volume for the records above, in order, we have 2342.2; 889.3; 403.7; 652.4; 1422.9; 737.7 Å³ per cell.